1.
A plane-wave DFT calculation with r²SCAN was carried out for Rb2Hf3OF12 after structural relaxation.

a = 10.8372 Å, b = 10.8372 Å, c = 10.8372 Å
α = 41.33°, β = 41.33°, γ = 41.33°
Last column: nearest neighbours and their distance in Å.
Fractional coordinates of all 36 atoms:
Rb1 0.0000 0.0000 0.0000  6 F 2.69
Rb2 0.1375 0.1375 0.1375  6 F 2.81-2.88
Rb3 0.5000 0.5000 0.5000  6 F 2.78
Rb4 0.8625 0.8625 0.8625  6 F 2.81-2.88
Hf1 0.0285 0.5755 0.5755  7 F 1.97-2.18, 1 O 2.05
Hf2 0.4245 0.4245 0.9715  7 F 1.97-2.18, 1 O 2.05
Hf3 0.4245 0.9715 0.4245  7 F 1.97-2.18, 1 O 2.05
Hf4 0.5755 0.0285 0.5755  7 F 1.97-2.18, 1 O 2.05
Hf5 0.5755 0.5755 0.0285  7 F 1.97-2.18, 1 O 2.05
Hf6 0.9715 0.4245 0.4245  7 F 1.97-2.18, 1 O 2.05
O1 0.2880 0.2880 0.2880  3 Hf 2.05
O2 0.7120 0.7120 0.7120  3 Hf 2.05
F1 0.0000 0.3518 0.6482  2 Hf 2.12, 1 F 2.27
F2 0.0000 0.6482 0.3518  2 Hf 2.12, 1 F 2.27
F3 0.0806 0.6489 0.6489  1 Hf 1.97
F4 0.0897 0.0897 0.5991  2 Hf 2.18, 1 O 2.40
F5 0.0897 0.5991 0.0897  2 Hf 2.18, 1 O 2.40
F6 0.2930 0.2930 0.6283  2 Hf 2.14
F7 0.2930 0.6283 0.2930  2 Hf 2.14
F8 0.3511 0.3511 0.9194  1 Hf 1.97
F9 0.3511 0.9194 0.3511  1 Hf 1.97
F10 0.3518 0.0000 0.6482  2 Hf 2.12, 1 F 2.27
F11 0.3518 0.6482 0.0000  2 Hf 2.12, 1 F 2.27
F12 0.3717 0.7070 0.7070  2 Hf 2.14
F13 0.4009 0.9103 0.9103  2 Hf 2.18, 1 O 2.40
F14 0.5991 0.0897 0.0897  2 Hf 2.18, 1 O 2.40
F15 0.6283 0.2930 0.2930  2 Hf 2.14
F16 0.6482 0.0000 0.3518  2 Hf 2.12, 1 F 2.27
F17 0.6482 0.3518 0.0000  2 Hf 2.12, 1 F 2.27
F18 0.6489 0.0806 0.6489  1 Hf 1.97
F19 0.6489 0.6489 0.0806  1 Hf 1.97
F20 0.7070 0.3717 0.7070  2 Hf 2.14
F21 0.7070 0.7070 0.3717  2 Hf 2.14
F22 0.9103 0.4009 0.9103  2 Hf 2.18, 1 O 2.40
F23 0.9103 0.9103 0.4009  2 Hf 2.18, 1 O 2.40
F24 0.9194 0.3511 0.3511  1 Hf 1.97

Properties
Space-group type: R-3m
Crystal system: trigonal
E_form in eV per formula unit: -70.9

2.
A plane-wave DFT calculation with r²SCAN was carried out for RbHfF5 after structural relaxation.

a = 7.7173 Å, b = 7.7173 Å, c = 7.8693 Å
α = 90.00°, β = 90.00°, γ = 61.34°
Last column: nearest neighbours and their distance in Å.
Fractional coordinates of all 28 atoms:
Rb1 0.2042 0.2042 0.0000  5 F 2.76-2.94
Rb2 0.2958 0.2958 0.5000  5 F 2.76-2.94
Rb3 0.7042 0.7042 0.5000  5 F 2.76-2.94
Rb4 0.7958 0.7958 0.0000  5 F 2.76-2.94
Hf1 0.1623 0.8377 0.6617  8 F 2.00-2.20
Hf2 0.3377 0.6623 0.1617  8 F 2.00-2.20
Hf3 0.6623 0.3377 0.8383  8 F 2.00-2.20
Hf4 0.8377 0.1623 0.3383  8 F 2.00-2.20
F1 0.0629 0.9371 0.2095  2 Hf 2.04-2.20
F2 0.0701 0.6415 0.7108  1 Hf 2.00
F3 0.0877 0.0877 0.5000  2 Hf 2.15, 1 F 2.33
F4 0.1415 0.5701 0.2108  1 Hf 2.00
F5 0.2098 0.7902 0.9358  2 Hf 2.04-2.19
F6 0.2902 0.7098 0.4358  2 Hf 2.04-2.19
F7 0.3585 0.9299 0.7108  1 Hf 2.00
F8 0.4123 0.4123 0.0000  2 Hf 2.15, 1 F 2.33
F9 0.4299 0.8585 0.2108  1 Hf 2.00
F10 0.4371 0.5629 0.7095  2 Hf 2.04-2.20
F11 0.5629 0.4371 0.2905  2 Hf 2.04-2.20
F12 0.5701 0.1415 0.7892  1 Hf 2.00
F13 0.5877 0.5877 0.0000  2 Hf 2.15, 1 F 2.33
F14 0.6415 0.0701 0.2892  1 Hf 2.00
F15 0.7098 0.2902 0.5642  2 Hf 2.04-2.19
F16 0.7902 0.2098 0.0642  2 Hf 2.04-2.19
F17 0.8585 0.4299 0.7892  1 Hf 2.00
F18 0.9123 0.9123 0.5000  2 Hf 2.15, 1 F 2.33
F19 0.9299 0.3585 0.2892  1 Hf 2.00
F20 0.9371 0.0629 0.7905  2 Hf 2.04-2.20

Properties
Space-group type: Cmce
Crystal system: orthorhombic
E_form in eV per formula unit: -27.1

3.
A plane-wave DFT calculation with r²SCAN was carried out for TbHfF7 after structural relaxation.

a = 6.0173 Å, b = 5.6745 Å, c = 8.1768 Å
α = 90.00°, β = 102.42°, γ = 90.00°
Last column: nearest neighbours and their distance in Å.
Fractional coordinates of all 18 atoms:
Tb1 0.1564 0.0000 0.1870  8 F 2.18-2.36
Tb2 0.8436 0.5000 0.8130  8 F 2.18-2.36
Hf1 0.3114 0.9904 0.7250  6 F 1.98-2.00
Hf2 0.6886 0.4904 0.2750  6 F 1.98-2.00
F1 0.0467 0.2049 0.7115  1 Hf 1.99
F2 0.0465 0.3092 0.0244  2 Tb 2.18-2.21
F3 0.1190 0.7014 0.7153  1 Hf 2.00
F4 0.2565 0.9994 0.4773  1 Hf 1.98
F5 0.3649 0.9917 0.9738  1 Hf 1.99
F6 0.4310 0.2694 0.2708  1 Hf 1.99
F7 0.4581 0.7476 0.2601  1 Hf 2.00
F8 0.5419 0.2476 0.7399  1 Hf 2.00
F9 0.5690 0.7694 0.7292  1 Hf 1.99
F10 0.6351 0.4917 0.0262  1 Hf 1.99
F11 0.7435 0.4994 0.5227  1 Hf 1.98
F12 0.8810 0.2014 0.2847  1 Hf 2.00
F13 0.9533 0.7049 0.2885  1 Hf 1.99
F14 0.9535 0.8092 0.9756  2 Tb 2.18-2.21

Properties
Space-group type: P2_1
Crystal system: monoclinic
E_form in eV per formula unit: -38.4

4.
A plane-wave DFT calculation with r²SCAN was carried out for HfTlF5 after structural relaxation.

a = 7.4474 Å, b = 7.8469 Å, c = 7.8449 Å
α = 90.00°, β = 116.91°, γ = 90.00°
Last column: nearest neighbours and their distance in Å.
Fractional coordinates of all 28 atoms:
Hf1 0.0078 0.1629 0.3387  8 F 2.00-2.17
Hf2 0.0078 0.3371 0.8387  8 F 2.00-2.17
Hf3 0.9922 0.6629 0.1613  8 F 2.00-2.17
Hf4 0.9922 0.8371 0.6613  8 F 2.00-2.17
Tl1 0.4301 0.5292 0.7043  4 F 2.67-2.92
Tl2 0.4301 0.9708 0.2043  4 F 2.67-2.92
Tl3 0.5699 0.0292 0.7957  4 F 2.67-2.92
Tl4 0.5699 0.4708 0.2957  4 F 2.67-2.92
F1 0.0052 0.0650 0.7917  2 Hf 2.04-2.17
F2 0.0052 0.4350 0.2917  2 Hf 2.04-2.17
F3 0.0125 0.2098 0.0676  2 Hf 2.04-2.17
F4 0.0125 0.2902 0.5676  2 Hf 2.04-2.17
F5 0.1750 0.5056 0.0726  2 Hf 2.14-2.17, 1 F 2.33
F6 0.1750 0.9944 0.5726  2 Hf 2.14-2.17, 1 F 2.33
F7 0.2820 0.7108 0.3409  1 Hf 2.01
F8 0.2820 0.7892 0.8409  1 Hf 2.01
F9 0.2982 0.2073 0.4131  1 Hf 2.00
F10 0.2982 0.2927 0.9131  1 Hf 2.00
F11 0.7018 0.7073 0.0869  1 Hf 2.00
F12 0.7018 0.7927 0.5869  1 Hf 2.00
F13 0.7180 0.2108 0.1591  1 Hf 2.01
F14 0.7180 0.2892 0.6591  1 Hf 2.01
F15 0.8250 0.0056 0.4274  2 Hf 2.14-2.17, 1 F 2.33
F16 0.8250 0.4944 0.9274  2 Hf 2.14-2.17, 1 F 2.33
F17 0.9875 0.7098 0.4324  2 Hf 2.04-2.17
F18 0.9875 0.7902 0.9324  2 Hf 2.04-2.17
F19 0.9948 0.5650 0.7083  2 Hf 2.04-2.17
F20 0.9948 0.9350 0.2083  2 Hf 2.04-2.17

Properties
Space-group type: P2_1/c
Crystal system: monoclinic
E_form in eV per formula unit: -24.8

5.
A plane-wave DFT calculation with r²SCAN was carried out for TmHfF7 after structural relaxation.

a = 5.9157 Å, b = 5.6051 Å, c = 8.0690 Å
α = 90.00°, β = 102.76°, γ = 90.00°
Last column: nearest neighbours and their distance in Å.
Fractional coordinates of all 18 atoms:
Tm1 0.1544 0.0000 0.1859  8 F 2.12-2.31
Tm2 0.8456 0.5000 0.8141  8 F 2.12-2.31
Hf1 0.3127 0.9906 0.7257  6 F 1.98-2.00
Hf2 0.6873 0.4906 0.2743  6 F 1.98-2.00
F1 0.0406 0.3035 0.0224  2 Tm 2.12-2.17
F2 0.0436 0.2081 0.7111  1 Hf 1.99
F3 0.1184 0.6968 0.7171  1 Hf 2.00, 1 Tm 2.23
F4 0.2561 0.0003 0.4747  1 Hf 1.98
F5 0.3673 0.9959 0.9778  1 Hf 1.99
F6 0.4259 0.2656 0.2691  1 Hf 1.99, 1 Tm 2.18
F7 0.4488 0.7473 0.2589  1 Hf 2.00, 1 Tm 2.22
F8 0.5512 0.2473 0.7411  1 Hf 2.00, 1 Tm 2.22
F9 0.5741 0.7656 0.7309  1 Hf 1.99, 1 Tm 2.18
F10 0.6327 0.4959 0.0222  1 Hf 1.99
F11 0.7439 0.5003 0.5253  1 Hf 1.98
F12 0.8816 0.1968 0.2829  1 Hf 2.00, 1 Tm 2.23
F13 0.9564 0.7081 0.2889  1 Hf 1.99
F14 0.9594 0.8035 0.9776  2 Tm 2.12-2.17

Properties
Space-group type: P2_1
Crystal system: monoclinic
E_form in eV per formula unit: -38.5

6.
A plane-wave DFT calculation with r²SCAN was carried out for HfVF6 after structural relaxation.

a = 5.7292 Å, b = 5.7292 Å, c = 5.7292 Å
α = 60.00°, β = 60.00°, γ = 60.00°
Last column: nearest neighbours and their distance in Å.
Fractional coordinates of all 8 atoms:
Hf1 0.0000 0.0000 0.0000  6 F 1.99
V1 0.5000 0.5000 0.5000  6 F 2.06
F1 0.2455 0.2455 0.7545  1 Hf 1.99, 1 V 2.06
F2 0.2455 0.7545 0.2455  1 Hf 1.99, 1 V 2.06
F3 0.2455 0.7545 0.7545  1 Hf 1.99, 1 V 2.06
F4 0.7545 0.2455 0.2455  1 Hf 1.99, 1 V 2.06
F5 0.7545 0.2455 0.7545  1 Hf 1.99, 1 V 2.06
F6 0.7545 0.7545 0.2455  1 Hf 1.99, 1 V 2.06

Properties
Space-group type: Fm-3m
Crystal system: cubic
E_form in eV per formula unit: -29.6

7.
A plane-wave DFT calculation with r²SCAN was carried out for YHfF7 after structural relaxation.

a = 5.9949 Å, b = 5.6778 Å, c = 8.1573 Å
α = 90.00°, β = 102.59°, γ = 90.00°
Last column: nearest neighbours and their distance in Å.
Fractional coordinates of all 18 atoms:
Y1 0.1558 0.0000 0.1870  8 F 2.17-2.35
Y2 0.8442 0.5000 0.8130  8 F 2.17-2.35
Hf1 0.3121 0.9908 0.7254  6 F 1.98-2.00
Hf2 0.6879 0.4908 0.2746  6 F 1.98-2.00
F1 0.0434 0.3058 0.0233  2 Y 2.17-2.20
F2 0.0476 0.2075 0.7108  1 Hf 1.99
F3 0.1181 0.7028 0.7148  1 Hf 2.00
F4 0.2576 0.0000 0.4771  1 Hf 1.98
F5 0.3664 0.9938 0.9749  1 Hf 1.99
F6 0.4308 0.2679 0.2699  1 Hf 1.99
F7 0.4538 0.7455 0.2594  1 Hf 2.00
F8 0.5462 0.2455 0.7406  1 Hf 2.00
F9 0.5692 0.7679 0.7301  1 Hf 1.99
F10 0.6336 0.4938 0.0251  1 Hf 1.99
F11 0.7424 0.5000 0.5229  1 Hf 1.98
F12 0.8819 0.2028 0.2852  1 Hf 2.00
F13 0.9524 0.7075 0.2892  1 Hf 1.99
F14 0.9566 0.8058 0.9767  2 Y 2.17-2.20

Properties
Space-group type: P2_1
Crystal system: monoclinic
E_form in eV per formula unit: -38.3

8.
A plane-wave DFT calculation with r²SCAN was carried out for HgF after structural relaxation.

a = 6.0987 Å, b = 6.0987 Å, c = 6.0987 Å
α = 145.09°, β = 145.09°, γ = 50.20°
Last column: nearest neighbours and their distance in Å.
Fractional coordinates of all 4 atoms:
Hg1 0.1155 0.1155 0.0000  1 F 2.17
Hg2 0.8845 0.8845 0.0000  1 F 2.17
F1 0.3118 0.3118 0.0000  1 Hg 2.17
F2 0.6882 0.6882 0.0000  1 Hg 2.17

Properties
Space-group type: I4/mmm
Crystal system: tetragonal
E_form in eV per formula unit: -2.6